NaAlTe2: relaxed, PBE.

```
NaAlTe2
1.0
7.9934 0.0000 -2.3239
-0.6756 7.9648 -2.3239
0.1934 0.2105 15.5747
Al Te Na
8 16 8
Direct
0.8750 0.6250 0.2500
0.3750 0.1250 0.2500
0.8750 0.6250 0.7500
0.8750 0.1250 0.2500
0.3750 0.6250 0.7500
0.8750 0.1250 0.7500
0.3750 0.1250 0.7500
0.3750 0.6250 0.2500
0.6822 0.1822 0.8644
0.1822 0.6822 0.8644
0.3178 0.3178 0.1356
0.1822 0.6822 0.3644
0.3178 0.3178 0.6356
0.1822 0.1822 0.3644
0.8178 0.8178 0.6356
0.3178 0.8178 0.6356
0.6822 0.6822 0.8644
0.1822 0.1822 0.8644
0.8178 0.3178 0.1356
0.3178 0.8178 0.1356
0.8178 0.8178 0.1356
0.6822 0.1822 0.3644
0.8178 0.3178 0.6356
0.6822 0.6822 0.3644
0.5000 0.5000 0.5000
0.5000 0.0000 0.5000
0.5000 0.5000 0.0000
0.0000 0.5000 0.0000
0.0000 0.0000 0.5000
0.5000 0.0000 0.0000
0.0000 0.5000 0.5000
0.0000 0.0000 0.0000
```

Properties
V: 999.4 Å³ per cell
Calculated total energy: -13.7 eV per formula unit
Mass density: 4.06 g cm⁻³

Nb3Al: relaxed, PBE.

```
Nb3Al
1.0
-0.3440 -2.7871 -4.3946
0.6082 -4.3955 2.7401
-5.1682 -0.3317 0.6150
Nb Al
6 2
Direct
0.7500 0.0000 0.5000
0.5000 0.7500 0.0000
0.5000 0.2500 0.0000
0.0000 0.5000 0.2500
0.2500 0.0000 0.5000
0.0000 0.5000 0.7500
0.5000 0.5000 0.5000
0.0000 0.0000 0.0000
```

Properties
V: 141.8 Å³ per cell
Calculated total energy: -34.7 eV per formula unit
Mass density: 7.16 g cm⁻³

Nb2Al: relaxed, PBE.

```
Nb2Al
1.0
10.0024 0.0000 0.0000
0.0000 10.0024 0.0000
0.0000 0.0000 5.2020
Al Nb
10 20
Direct
0.4332 0.2384 0.5000
0.2384 0.4332 0.5000
0.7384 0.0668 0.0000
0.2616 0.9332 0.0000
0.0000 0.0000 0.0000
0.5000 0.5000 0.5000
0.5668 0.7616 0.5000
0.7616 0.5668 0.5000
0.0668 0.7384 0.0000
0.9332 0.2616 0.0000
0.9649 0.3721 0.5000
0.8182 0.8182 0.2522
0.1818 0.1818 0.2522
0.6035 0.6035 0.0000
0.3182 0.6818 0.2478
0.3182 0.6818 0.7522
0.1035 0.8965 0.5000
0.4649 0.1279 0.0000
0.8965 0.1035 0.5000
0.6279 0.0351 0.5000
0.3965 0.3965 0.0000
0.0351 0.6279 0.5000
0.1279 0.4649 0.0000
0.8721 0.5351 0.0000
0.5351 0.8721 0.0000
0.6818 0.3182 0.7522
0.3721 0.9649 0.5000
0.6818 0.3182 0.2478
0.8182 0.8182 0.7478
0.1818 0.1818 0.7478
```

Properties
V: 520.4 Å³ per cell
Calculated total energy: -24.8 eV per formula unit
Mass density: 6.79 g cm⁻³

NbAl3: relaxed, PBE.

```
NbAl3
1.0
3.8530 0.0000 0.0000
0.0000 3.8530 0.0000
-1.9265 -1.9265 4.3194
Al Nb
3 1
Direct
0.2500 0.7500 0.5000
0.7500 0.2500 0.5000
0.5000 0.5000 0.0000
0.0000 0.0000 0.0000
```

Properties
V: 64.1 Å³ per cell
Calculated total energy: -23.1 eV per formula unit
Mass density: 4.50 g cm⁻³